# 1
Below is a relaxed structure of Rb5Mo2Br9O, with properties calculated at the PBE with a Hubbard U level.

Computed properties:
calculated volume: 36.92 Å³/atom
magnetic moment: 8.000 μB per formula unit
total DFT energy (no corrections): -0.2513 Ry/atom

Cell: 10.9969 15.5193 14.7096 Å, 90.00 90.00 90.00°
With the nearest neighbours (Å) after each atom.
Space group Cmc2_1 (No. 36)
Unique sites:
Rb 0.0000 0.1291 0.0000 [4 per cell]  1 O 2.67
Rb 0.2307 0.0448 0.6401 [8 per cell]  1 O 2.82
Rb 0.2461 0.1897 0.3413 [8 per cell]  7 Br 3.53-3.90
Mo 0.0000 0.2761 0.6044 [4 per cell]  5 Br 2.58-2.65
Mo 0.0000 0.4601 0.3819 [4 per cell]  4 Br 2.66-2.69
Br 0.0000 0.1466 0.4886 [4 per cell]  1 Mo 2.63
Br 0.0000 0.1831 0.7497 [4 per cell]  1 Mo 2.58
Br 0.0000 0.3213 0.2751 [4 per cell]  1 Mo 2.66
Br 0.0000 0.3933 0.9795 [4 per cell]  1 Mo 2.69
Br 0.0000 0.4219 0.6979 [4 per cell]  1 Mo 2.65
Br 0.2376 0.2819 0.5939 [8 per cell]  1 Mo 2.62
Br 0.2431 0.4592 0.3848 [8 per cell]  1 Mo 2.67
O 0.0000 0.0334 0.1510 [4 per cell]  3 Rb 2.67-2.82

# 2
Below is a relaxed structure of SmMoBrO4, with properties calculated at the PBE with a Hubbard U level.

Computed properties:
calculated volume: 19.03 Å³/atom
magnetic moment: 0.001 μB per formula unit
total DFT energy (no corrections): -0.5107 Ry/atom

Cell: 7.0034 7.4320 11.2454 Å, 106.21 106.95 92.34°
With the nearest neighbours (Å) after each atom.
Space group P-1 (No. 2)
Unique sites:
Sm 0.1050 0.3531 0.2310 [2 per cell]  6 O 2.36-2.54
Sm 0.1433 0.1250 0.7302 [2 per cell]  4 O 2.37-2.60
Mo 0.2343 0.8157 0.1338 [2 per cell]  4 O 1.77-1.82
Mo 0.2748 0.5916 0.6305 [2 per cell]  4 O 1.77-1.83
Br 0.2421 0.0237 0.4825 [2 per cell]  2 Sm 2.96-2.97, 2 O 3.24-3.28
Br 0.3042 0.2850 0.0189 [2 per cell]  2 Sm 2.97-3.04, 2 O 3.14-3.19
O 0.1084 0.0210 0.1803 [2 per cell]  1 Mo 1.82
O 0.1250 0.6567 0.2014 [2 per cell]  1 Mo 1.82
O 0.1599 0.7965 0.6989 [2 per cell]  1 Mo 1.83
O 0.1739 0.7297 0.9612 [2 per cell]  1 Mo 1.78
O 0.1794 0.5071 0.4565 [2 per cell]  1 Mo 1.79
O 0.1984 0.4254 0.7033 [2 per cell]  1 Mo 1.80
O 0.4596 0.3614 0.3227 [2 per cell]  1 Mo 1.77
O 0.4994 0.8655 0.2070 [2 per cell]  1 Mo 1.77